## SiO2 (PBE)

Data for SiO2 after structural relaxation.

a b c (Å): 11.564 11.883 12.315
angles (deg): 88.81 86.78 86.80
Space group P1 (No. 1)
Inequivalent atoms, fractional coordinates:
Si  0.000  0.000  0.000 [1 per cell]
Si  0.001  0.367  0.923 [1 per cell]
Si  0.029  0.564  0.754 [1 per cell]
Si  0.048  0.095  0.419 [1 per cell]
Si  0.091  0.964  0.575 [1 per cell]
Si  0.172  0.655  0.062 [1 per cell]
Si  0.200  0.246  0.819 [1 per cell]
Si  0.219  0.332  0.030 [1 per cell]
Si  0.238  0.089  0.495 [1 per cell]
Si  0.260  0.509  0.851 [1 per cell]
Si  0.262  0.067  0.003 [1 per cell]
Si  0.346  0.518  0.149 [1 per cell]
Si  0.347  0.271  0.612 [1 per cell]
Si  0.438  0.950  0.043 [1 per cell]
Si  0.482  0.461  0.537 [1 per cell]
Si  0.504  0.576  0.762 [1 per cell]
Si  0.511  0.698  0.126 [1 per cell]
Si  0.539  0.524  0.300 [1 per cell]
Si  0.572  0.162  0.695 [1 per cell]
Si  0.591  0.785  0.711 [1 per cell]
Si  0.640  0.081  0.923 [1 per cell]
Si  0.660  0.962  0.564 [1 per cell]
Si  0.718  0.320  0.576 [1 per cell]
Si  0.754  0.606  0.796 [1 per cell]
Si  0.755  0.925  0.776 [1 per cell]
Si  0.763  0.625  0.430 [1 per cell]
Si  0.764  0.402  0.192 [1 per cell]
Si  0.768  0.873  0.348 [1 per cell]
Si  0.770  0.632  0.052 [1 per cell]
Si  0.819  0.224  0.014 [1 per cell]
Si  0.855  0.844  0.168 [1 per cell]
Si  0.891  0.307  0.395 [1 per cell]
Si  0.922  0.470  0.566 [1 per cell]
Si  0.997  0.833  0.795 [1 per cell]
O  0.010  0.491  0.871 [1 per cell]
O  0.013  0.967  0.464 [1 per cell]
O  0.018  0.926  0.886 [1 per cell]
O  0.036  0.499  0.630 [1 per cell]
O  0.044  0.703  0.783 [1 per cell]
O  0.046  0.899  0.679 [1 per cell]
O  0.062  0.271  0.840 [1 per cell]
O  0.078  0.367  0.034 [1 per cell]
O  0.094  0.117  0.556 [1 per cell]
O  0.097  0.764  0.059 [1 per cell]
O  0.129  0.024  0.034 [1 per cell]
O  0.183  0.537  0.751 [1 per cell]
O  0.186  0.097  0.373 [1 per cell]
O  0.215  0.579  0.959 [1 per cell]
O  0.219  0.592  0.171 [1 per cell]
O  0.230  0.267  0.690 [1 per cell]
O  0.235  0.959  0.548 [1 per cell]
O  0.244  0.203  0.052 [1 per cell]
O  0.250  0.130  0.868 [1 per cell]
O  0.253  0.363  0.889 [1 per cell]
O  0.309  0.407  0.086 [1 per cell]
O  0.335  0.172  0.519 [1 per cell]
O  0.350  0.958  0.941 [1 per cell]
O  0.351  0.037  0.114 [1 per cell]
O  0.363  0.391  0.553 [1 per cell]
O  0.399  0.518  0.832 [1 per cell]
O  0.418  0.474  0.249 [1 per cell]
O  0.421  0.610  0.075 [1 per cell]
O  0.455  0.241  0.684 [1 per cell]
O  0.463  0.827  0.104 [1 per cell]
O  0.477  0.527  0.424 [1 per cell]
O  0.483  0.715  0.761 [1 per cell]
O  0.493  0.547  0.635 [1 per cell]
O  0.530  0.657  0.252 [1 per cell]
O  0.562  0.118  0.820 [1 per cell]
O  0.567  0.002  0.008 [1 per cell]
O  0.572  0.071  0.596 [1 per cell]
O  0.584  0.850  0.591 [1 per cell]
O  0.595  0.373  0.538 [1 per cell]
O  0.625  0.877  0.798 [1 per cell]
O  0.629  0.428  0.234 [1 per cell]
O  0.632  0.534  0.808 [1 per cell]
O  0.636  0.677  0.063 [1 per cell]
O  0.681  0.548  0.376 [1 per cell]
O  0.690  0.231  0.675 [1 per cell]
O  0.692  0.189  0.979 [1 per cell]
O  0.705  0.698  0.702 [1 per cell]
O  0.715  0.966  0.437 [1 per cell]
O  0.720  0.885  0.223 [1 per cell]
O  0.743  0.757  0.417 [1 per cell]
O  0.760  0.020  0.867 [1 per cell]
O  0.767  0.966  0.647 [1 per cell]
O  0.781  0.260  0.468 [1 per cell]
O  0.788  0.279  0.134 [1 per cell]
O  0.790  0.630  0.920 [1 per cell]
O  0.801  0.509  0.112 [1 per cell]
O  0.806  0.410  0.620 [1 per cell]
O  0.848  0.722  0.112 [1 per cell]
O  0.856  0.384  0.291 [1 per cell]
O  0.857  0.830  0.792 [1 per cell]
O  0.868  0.332  0.943 [1 per cell]
O  0.870  0.584  0.497 [1 per cell]
O  0.877  0.571  0.735 [1 per cell]
O  0.904  0.851  0.295 [1 per cell]
O  0.917  0.932  0.088 [1 per cell]
O  0.921  0.123  0.999 [1 per cell]
O  0.964  0.185  0.362 [1 per cell]
O  0.970  0.379  0.470 [1 per cell]

Results
Total energy = -7.670 eV/atom
Energy relative to the elements = -9.1 eV per formula unit
V = 1686.76 Å³ per cell
E (MP2020) = -829.04 eV for the cell shown

---

## Zr2Al (PBE)

Data for Zr2Al after structural relaxation.

a b c (Å): 4.9103 4.9103 5.9530
angles (deg): 90.00 90.00 120.00
Space group P6_3/mmc (No. 194)
Inequivalent atoms, fractional coordinates:
Zr  0.0000  0.0000  0.0000 [2 per cell]
Zr  0.3333  0.6667  0.2500 [2 per cell]
Al  0.3333  0.6667  0.7500 [2 per cell]

Results
Total energy = -7.305 eV/atom
Energy relative to the elements = -1.1 eV per formula unit
V = 124.31 Å³ per cell

---

## RbPdF3 (PBE)

Data for RbPdF3 after structural relaxation.

a b c (Å): 4.346 4.346 4.346
angles (deg): 90.00 90.00 90.00
Space group Pm-3m (No. 221)
Inequivalent atoms, fractional coordinates:
Rb  0.000  0.000  0.000 [1 per cell]
Pd  0.500  0.500  0.500 [1 per cell]
F  0.000  0.500  0.500 [3 per cell]

Results
Total energy = -4.221 eV/atom
Energy relative to the elements = -10.6 eV per formula unit
V = 82.07 Å³ per cell
E (MP2020) = -22.49 eV for the cell shown

---

## MgSi3HO12 (PBE)

Data for MgSi3HO12 after structural relaxation.

a b c (Å): 8.501 6.874 9.353
angles (deg): 90.00 101.55 90.00
Space group P2_1/m (No. 11)
Inequivalent atoms, fractional coordinates:
Mg  0.000  0.000  0.000 [2 per cell]
Si  0.120  0.250  0.293 [2 per cell]
Si  0.322  0.750  0.974 [2 per cell]
Si  0.425  0.250  0.744 [2 per cell]
H  0.276  0.750  0.360 [2 per cell]
O  0.070  0.250  0.116 [2 per cell]
O  0.073  0.032  0.345 [4 per cell]
O  0.226  0.554  0.998 [4 per cell]
O  0.236  0.250  0.695 [2 per cell]
O  0.304  0.250  0.392 [2 per cell]
O  0.334  0.750  0.800 [2 per cell]
O  0.394  0.750  0.409 [2 per cell]
O  0.465  0.585  0.341 [4 per cell]
O  0.500  0.250  0.916 [2 per cell]

Results
Total energy = -5.836 eV/atom
Energy relative to the elements = -26.8 eV per formula unit
V = 535.46 Å³ per cell
E (MP2020) = -214.91 eV for the cell shown

---

> Number 3 is which compound?

RbPdF3

---

> total energy of number 1 (SiO2)?

-7.670 eV/atom